Entry from the Materials Project database: crystalline SmGePd at its relaxed geometry (GGA-PBE).

Computed properties:
ΔH_f (0 K) in eV/atom: -0.88
Final energy in eV/f.u.: -17.2
Total magnetization in μB per cell: 0.00

Cell: 10.524 4.450 7.236 Å, 90.00 132.33 90.00°
Space group C2/m (No. 12)
Symmetry-distinct sites (fractional):
Sm 0.043 0.000 0.304 [4 per cell]
Ge 0.159 0.500 0.103 [4 per cell]
Pd 0.180 0.500 0.727 [4 per cell]

Entry from the Materials Project database: crystalline LiPm2Si at its relaxed geometry (GGA-PBE).

Computed properties:
ΔH_f (0 K) in eV/atom: -0.34
Final energy in eV/f.u.: -18.3

Cell: 7.225 7.225 7.225 Å, 90.00 90.00 90.00°
Space group Fm-3m (No. 225)
Symmetry-distinct sites (fractional):
Li 0.000 0.000 0.000 [4 per cell]
Pm 0.250 0.250 0.250 [8 per cell]
Si 0.000 0.000 0.500 [4 per cell]

Entry from the Materials Project database: crystalline CrTe at its relaxed geometry (GGA-PBE).

Computed properties:
ΔH_f (0 K) in eV/atom: -0.25
Final energy in eV/f.u.: -12.9
Total magnetization in μB per cell: 7.89

Cell: 4.1368 4.1368 6.3291 Å, 90.00 90.00 120.00°
Space group P6_3/mmc (No. 194)
Symmetry-distinct sites (fractional):
Cr 0.0000 0.0000 0.0000 [2 per cell]
Te 0.3333 0.6667 0.2500 [2 per cell]

What is the ΔH_f (0 K) in the first record?
-0.88 eV/atom

What is the ΔH_f (0 K) in the second record?
-0.34 eV/atom

Look up the final energy of the first one.
-17.2 eV/f.u.

The lowest ΔH_f (0 K) belongs to which entry?
SmGePd